! Mg10FeO11 PBE with a Hubbard U optimized geometry; values from VASP
&SYSTEM
  ibrav = 0, nat = 88, ntyp = 3
/
ATOMIC_SPECIES
Mg 24.30 Mg.upf
Fe 55.84 Fe.upf
O 16.00 O.upf
ATOMIC_POSITIONS crystal
Mg 0.000 0.000 0.000
Mg 0.018 0.565 0.159
Mg 0.044 0.135 0.318
Mg 0.068 0.703 0.477
Mg 0.091 0.271 0.636
Mg 0.111 0.837 0.796
Mg 0.135 0.405 0.954
Mg 0.159 0.975 0.114
Mg 0.201 0.112 0.431
Mg 0.227 0.680 0.591
Mg 0.250 0.250 0.750
Mg 0.271 0.816 0.909
Mg 0.294 0.386 0.068
Mg 0.317 0.952 0.227
Mg 0.343 0.521 0.386
Mg 0.364 0.089 0.546
Mg 0.385 0.655 0.704
Mg 0.410 0.225 0.864
Mg 0.450 0.360 0.181
Mg 0.476 0.930 0.341
Mg 0.497 0.497 0.500
Mg 0.521 0.066 0.659
Mg 0.544 0.636 0.818
Mg 0.567 0.200 0.977
Mg 0.590 0.771 0.137
Mg 0.610 0.339 0.295
Mg 0.633 0.907 0.455
Mg 0.660 0.475 0.614
Mg 0.700 0.611 0.932
Mg 0.726 0.181 0.091
Mg 0.751 0.748 0.250
Mg 0.770 0.316 0.410
Mg 0.793 0.884 0.569
Mg 0.817 0.450 0.727
Mg 0.840 0.021 0.886
Mg 0.860 0.587 0.046
Mg 0.885 0.157 0.205
Mg 0.910 0.727 0.364
Mg 0.951 0.862 0.682
Mg 0.976 0.432 0.841
Fe 0.180 0.543 0.273
Fe 0.430 0.793 0.023
Fe 0.680 0.043 0.773
Fe 0.930 0.293 0.523
O 0.022 0.566 0.659
O 0.046 0.135 0.818
O 0.065 0.702 0.977
O 0.088 0.270 0.137
O 0.111 0.846 0.296
O 0.139 0.411 0.453
O 0.157 0.974 0.614
O 0.180 0.543 0.773
O 0.203 0.111 0.932
O 0.220 0.677 0.093
O 0.249 0.241 0.249
O 0.271 0.816 0.409
O 0.305 0.387 0.569
O 0.315 0.952 0.727
O 0.338 0.521 0.887
O 0.360 0.095 0.046
O 0.384 0.657 0.205
O 0.408 0.226 0.363
O 0.430 0.793 0.523
O 0.454 0.361 0.682
O 0.470 0.927 0.842
O 0.500 0.491 0.999
O 0.521 0.064 0.159
O 0.554 0.637 0.320
O 0.556 0.200 0.476
O 0.589 0.771 0.637
O 0.610 0.346 0.796
O 0.641 0.910 0.953
O 0.656 0.476 0.114
O 0.680 0.043 0.273
O 0.705 0.612 0.432
O 0.722 0.176 0.592
O 0.750 0.741 0.749
O 0.773 0.316 0.909
O 0.795 0.885 0.068
O 0.806 0.450 0.226
O 0.839 0.023 0.387
O 0.863 0.591 0.545
O 0.891 0.160 0.703
O 0.907 0.726 0.864
O 0.930 0.293 0.023
O 0.952 0.861 0.182
O 0.976 0.430 0.341
O 0.997 0.996 0.500
CELL_PARAMETERS angstrom
5.223 0.000 0.000
-1.744 6.527 0.000
-0.086 -2.814 25.097
! **Relative energy among the computed polymorphs**: 0.0 meV per atom
! **Total magnetization**: 16.0 μB/cell
! **E_form**: -6173 kJ/mol of formula units
! **Raw total energy**: -532.267 eV per cell
! **Symmetry**: P1, No. 1